{"formula": "Cs2NdAuCl6", "functional": "PBE", "state": "relaxed", "cell": [[0.000, 5.518, 5.518], [5.518, 0.000, 5.518], [5.518, 5.518, 0.000]], "species": ["Cs", "Cs", "Nd", "Au", "Cl", "Cl", "Cl", "Cl", "Cl", "Cl"], "fractional_positions": [[0.250, 0.250, 0.250], [0.750, 0.750, 0.750], [0.000, 0.000, 0.000], [0.500, 0.500, 0.500], [0.248, 0.248, 0.752], [0.248, 0.752, 0.248], [0.248, 0.752, 0.752], [0.752, 0.248, 0.248], [0.752, 0.248, 0.752], [0.752, 0.752, 0.248]], "dft_energy_ev_per_atom": -3.783, "spacegroup": "Fm-3m (225)", "formation_energy_mev_per_atom": -2059}